{
  "formula": "ZnCo2O4",
  "functional": "GGA+U",
  "state": "relaxed",
  "formation_energy_ev_per_atom": -1.216,
  "e_above_lowest_polymorph_mev_per_atom": 202,
  "lattice_angstrom": [[-0.389, 4.802, -1.528], [-2.393, -4.396, 0.704], [-2.285, 2.691, 9.043]],
  "species": ["Zn", "Zn", "O", "O", "O", "O", "O", "O", "O", "O", "Co", "Co", "Co", "Co"],
  "frac_coords": [[0.610, 0.390, 0.750], [0.390, 0.610, 0.250], [0.775, 0.225, 0.387], [0.225, 0.775, 0.613], [0.959, 0.041, 0.750], [0.041, 0.959, 0.250], [0.775, 0.225, 0.113], [0.500, 0.500, 0.000], [0.500, 0.500, 0.500], [0.225, 0.775, 0.887], [0.868, 0.132, 0.571], [0.132, 0.868, 0.071], [0.868, 0.132, 0.929], [0.132, 0.868, 0.429]]
}

{
  "formula": "ZnCoO2",
  "functional": "GGA+U",
  "state": "relaxed",
  "formation_energy_ev_per_atom": -1.435,
  "lattice_angstrom": [[1.526, -2.644, 0.000], [6.105, 3.525, 4.969], [-3.053, -1.762, 4.969]],
  "species": ["Co", "Co", "Co", "Co", "Zn", "Zn", "Zn", "Zn", "O", "O", "O", "O", "O", "O", "O", "O"],
  "frac_coords": [[0.500, 0.250, 0.250], [0.000, 0.000, 0.500], [0.500, 0.750, 0.750], [0.000, 0.500, 0.000], [0.500, 0.750, 0.250], [0.000, 0.500, 0.500], [0.000, 0.000, 0.000], [0.500, 0.250, 0.750], [0.000, 0.749, 0.999], [0.000, 0.751, 0.501], [0.500, 0.999, 0.749], [0.500, 0.501, 0.751], [0.000, 0.249, 0.499], [0.000, 0.251, 0.001], [0.500, 0.499, 0.249], [0.500, 0.001, 0.251]]
}

{
  "formula": "ZnCo2O4",
  "functional": "GGA+U",
  "state": "relaxed",
  "formation_energy_ev_per_atom": -1.418,
  "e_above_lowest_polymorph_mev_per_atom": 0,
  "lattice_angstrom": [[0.121, -3.592, 4.764], [-4.805, -0.466, 3.508], [-3.201, -5.037, 0.022]],
  "species": ["O", "O", "O", "O", "O", "O", "O", "O", "Zn", "Zn", "Co", "Co", "Co", "Co"],
  "frac_coords": [[0.885, 0.344, 0.885], [0.885, 0.885, 0.885], [0.906, 0.365, 0.365], [0.365, 0.365, 0.906], [0.365, 0.365, 0.365], [0.344, 0.885, 0.885], [0.365, 0.906, 0.365], [0.885, 0.885, 0.344], [0.500, 0.500, 0.500], [0.750, 0.750, 0.750], [0.125, 0.625, 0.125], [0.625, 0.125, 0.125], [0.125, 0.125, 0.125], [0.125, 0.125, 0.625]]
}

{
  "formula": "ZnCo2O4",
  "functional": "GGA+U",
  "state": "relaxed",
  "formation_energy_ev_per_atom": -1.311,
  "e_above_lowest_polymorph_mev_per_atom": 106,
  "lattice_angstrom": [[-2.947, 2.965, 4.279], [2.947, -2.965, 4.279], [2.947, 2.965, -4.279]],
  "species": ["O", "O", "O", "O", "O", "O", "O", "O", "Zn", "Zn", "Co", "Co", "Co", "Co"],
  "frac_coords": [[0.233, 0.730, 0.996], [0.767, 0.763, 0.496], [0.239, 0.250, 0.989], [0.762, 0.250, 0.511], [0.233, 0.237, 0.504], [0.238, 0.750, 0.489], [0.761, 0.750, 0.011], [0.767, 0.270, 0.004], [0.500, 0.500, 0.000], [0.000, 0.500, 0.500], [0.369, 0.119, 0.250], [0.000, 0.000, 0.500], [0.631, 0.881, 0.750], [0.000, 0.500, 0.000]]
}

{
  "formula": "Zn3Co9O16",
  "functional": "GGA+U",
  "state": "relaxed",
  "formation_energy_ev_per_atom": -1.245,
  "lattice_angstrom": [[-8.485, -0.026, -5.440], [-5.897, -5.109, -6.381], [-8.988, -4.286, -1.564]],
  "species": ["Co", "Co", "Co", "Co", "Co", "Co", "Co", "Co", "Co", "O", "O", "O", "O", "O", "O", "O", "O", "O", "O", "O", "O", "O", "O", "O", "O", "Zn", "Zn", "Zn"],
  "frac_coords": [[0.562, 0.061, 0.061], [0.813, 0.813, 0.813], [0.062, 0.564, 0.564], [0.001, 0.001, 0.001], [0.564, 0.564, 0.062], [0.061, 0.061, 0.562], [0.564, 0.062, 0.564], [0.125, 0.125, 0.125], [0.061, 0.562, 0.061], [0.672, 0.205, 0.205], [0.417, 0.417, 0.959], [0.417, 0.959, 0.417], [0.709, 0.150, 0.709], [0.695, 0.695, 0.695], [0.709, 0.709, 0.150], [0.205, 0.672, 0.205], [0.959, 0.417, 0.417], [0.205, 0.205, 0.672], [0.917, 0.917, 0.474], [0.150, 0.709, 0.709], [0.917, 0.474, 0.917], [0.431, 0.431, 0.431], [0.474, 0.917, 0.917], [0.193, 0.193, 0.193], [0.931, 0.931, 0.931], [0.624, 0.624, 0.624], [0.312, 0.312, 0.312], [0.501, 0.501, 0.501]]
}

{
  "formula": "Zn3Co2O7",
  "functional": "GGA+U",
  "state": "relaxed",
  "formation_energy_ev_per_atom": -1.329,
  "lattice_angstrom": [[2.373, 0.412, -9.069], [-6.678, -1.042, 6.509], [-0.751, 5.005, 0.031]],
  "species": ["Zn", "Zn", "Zn", "Zn", "Zn", "Zn", "O", "O", "O", "O", "O", "O", "O", "O", "O", "O", "O", "O", "O", "O", "Co", "Co", "Co", "Co"],
  "frac_coords": [[0.753, 0.753, 0.794], [0.247, 0.247, 0.294], [0.429, 0.035, 0.198], [0.571, 0.965, 0.698], [0.035, 0.429, 0.198], [0.965, 0.571, 0.698], [0.301, 0.559, 0.439], [0.005, 0.854, 0.560], [0.441, 0.699, 0.939], [0.146, 0.995, 0.060], [0.054, 0.651, 0.308], [0.699, 0.441, 0.939], [0.854, 0.005, 0.560], [0.559, 0.301, 0.439], [0.995, 0.146, 0.060], [0.370, 0.370, 0.680], [0.651, 0.054, 0.308], [0.630, 0.630, 0.180], [0.349, 0.946, 0.808], [0.946, 0.349, 0.808], [0.150, 0.352, 0.748], [0.648, 0.850, 0.248], [0.352, 0.150, 0.748], [0.850, 0.648, 0.248]]
}

What did we get for DFT total energy? Answer: -5.3932; -5.2480; -5.5956; -5.4892; -5.5736; -5.0410 eV/atom, in the order shown.